This record from the Materials Project database describes an optimized crystal structure of Na7Hf2Zr2Si5PO24. The functional is GGA-PBE.

The symmetry is P1 (1). Its calculated formation energy is -3.16 eV/atom. The value obtained for the total energy after the MP2020 corrections is -981.37 eV for the cell shown. Its total magnetization is 0.000 μB/f.u. The calculation puts the total energy at -931.910 eV/cell.

Cell: 9.197 9.202 22.826 Å, 89.94 90.02 120.03°
Element x y z (fractional)
Na: 0.636 0.001 0.251
Na: 0.364 0.365 0.248
Na: 0.000 0.633 0.250
Na: 0.634 0.633 0.749
Na: 0.999 0.365 0.750
Na: 0.367 0.002 0.750
Na: 0.301 0.333 0.584
Na: 0.032 0.700 0.583
Na: 0.668 0.967 0.584
Na: 0.296 0.968 0.082
Na: 0.037 0.337 0.086
Na: 0.972 0.669 0.917
Na: 0.330 0.296 0.918
Na: 0.331 0.029 0.417
Na: 0.702 0.669 0.418
Na: 0.996 0.005 0.499
Na: 0.988 0.994 0.000
Na: 0.668 0.319 0.834
Na: 0.680 0.331 0.335
Na: 0.341 0.662 0.166
Na: 0.334 0.666 0.667
Hf: 0.997 0.001 0.352
Hf: 0.000 0.003 0.852
Hf: 0.000 0.999 0.648
Hf: 0.999 0.996 0.148
Hf: 0.667 0.334 0.686
Hf: 0.674 0.333 0.482
Zr: 0.668 0.340 0.186
Zr: 0.666 0.330 0.982
Zr: 0.332 0.663 0.018
Zr: 0.333 0.670 0.518
Zr: 0.329 0.669 0.315
Zr: 0.331 0.670 0.814
Si: 0.292 0.001 0.251
Si: 0.709 0.710 0.251
Si: 0.000 0.290 0.248
Si: 0.294 0.292 0.750
Si: 0.998 0.707 0.750
Si: 0.709 0.001 0.749
Si: 0.960 0.332 0.585
Si: 0.374 0.043 0.583
Si: 0.667 0.625 0.583
Si: 0.962 0.632 0.082
Si: 0.369 0.334 0.084
Si: 0.036 0.368 0.916
Si: 0.333 0.964 0.917
Si: 0.631 0.965 0.417
Si: 0.034 0.666 0.416
P: 0.667 0.040 0.085
P: 0.627 0.668 0.916
P: 0.333 0.371 0.417
O: 0.205 0.031 0.308
O: 0.826 0.794 0.309
O: 0.969 0.166 0.304
O: 0.204 0.172 0.807
O: 0.969 0.795 0.808
O: 0.833 0.032 0.804
O: 0.793 0.970 0.690
O: 0.174 0.205 0.692
O: 0.029 0.825 0.693
O: 0.800 0.833 0.196
O: 0.031 0.206 0.190
O: 0.173 0.971 0.193
O: 0.876 0.365 0.643
O: 0.493 0.129 0.640
O: 0.637 0.508 0.641
O: 0.875 0.510 0.140
O: 0.639 0.121 0.140
O: 0.482 0.353 0.142
O: 0.460 0.303 0.027
O: 0.848 0.537 0.025
O: 0.695 0.157 0.032
O: 0.462 0.161 0.525
O: 0.696 0.536 0.526
O: 0.834 0.301 0.530
O: 0.539 0.690 0.969
O: 0.158 0.461 0.973
O: 0.307 0.845 0.974
O: 0.541 0.844 0.474
O: 0.311 0.456 0.472
O: 0.154 0.693 0.474
O: 0.124 0.641 0.358
O: 0.511 0.871 0.359
O: 0.359 0.482 0.363
O: 0.129 0.488 0.859
O: 0.357 0.874 0.858
O: 0.520 0.641 0.860
O: 0.026 0.840 0.412
O: 0.812 0.975 0.411
O: 0.180 0.194 0.411
O: 0.027 0.188 0.911
O: 0.159 0.973 0.912
O: 0.806 0.820 0.911
O: 0.978 0.164 0.589
O: 0.188 0.023 0.589
O: 0.835 0.811 0.588
O: 0.987 0.819 0.088
O: 0.829 0.030 0.089
O: 0.183 0.165 0.088
O: 0.689 0.168 0.744
O: 0.479 0.309 0.745
O: 0.831 0.521 0.745
O: 0.692 0.524 0.245
O: 0.832 0.309 0.244
O: 0.480 0.165 0.245
O: 0.642 0.508 0.922
O: 0.857 0.363 0.922
O: 0.492 0.155 0.921
O: 0.634 0.143 0.422
O: 0.493 0.357 0.422
O: 0.844 0.506 0.421
O: 0.346 0.498 0.079
O: 0.150 0.650 0.078
O: 0.509 0.870 0.077
O: 0.356 0.856 0.578
O: 0.498 0.642 0.578
O: 0.146 0.498 0.578
O: 0.309 0.832 0.255
O: 0.521 0.685 0.256
O: 0.168 0.476 0.255
O: 0.315 0.479 0.756
O: 0.166 0.688 0.755
O: 0.523 0.832 0.755